[1]
TlBiMo2O8: optimized geometry, PBE+U.

Results
Space group: P2_1/c (14)
Spin magnetization: 0.0 μB/f.u.

abc: 11.7600 12.2234 5.3742
angles: 90.00 92.51 90.00
Closest atoms and distances in Å follow each position.
Fractional coordinates of all 48 atoms:
Tl 0.1220 0.1238 0.4838  7 O 2.83-3.03
Tl 0.1220 0.3762 0.9838  7 O 2.83-3.03
Tl 0.8780 0.6238 0.0162  7 O 2.83-3.03
Tl 0.8780 0.8762 0.5162  7 O 2.83-3.03
Bi 0.3787 0.6242 0.9918  6 O 2.30-2.55
Bi 0.3787 0.8758 0.4918  6 O 2.30-2.55
Bi 0.6213 0.1242 0.5082  6 O 2.30-2.55
Bi 0.6213 0.3758 0.0082  6 O 2.30-2.55
Mo 0.1550 0.6460 0.4937  4 O 1.75-1.91
Mo 0.1550 0.8540 0.9937  4 O 1.75-1.91
Mo 0.3869 0.1141 0.9782  4 O 1.75-1.84
Mo 0.3869 0.3859 0.4782  4 O 1.75-1.84
Mo 0.6131 0.6141 0.5218  4 O 1.75-1.84
Mo 0.6131 0.8859 0.0218  4 O 1.75-1.84
Mo 0.8450 0.1460 0.0063  4 O 1.75-1.91
Mo 0.8450 0.3540 0.5063  4 O 1.75-1.91
O 0.0586 0.7277 0.6609  1 Mo 1.78
O 0.0586 0.7723 0.1609  1 Mo 1.78
O 0.0774 0.5505 0.3135  1 Mo 1.75
O 0.0774 0.9495 0.8135  1 Mo 1.75
O 0.2292 0.5634 0.7380  1 Mo 1.85
O 0.2292 0.9366 0.2380  1 Mo 1.85
O 0.2758 0.7090 0.3138  1 Mo 1.91
O 0.2758 0.7910 0.8138  1 Mo 1.91
O 0.2770 0.1975 0.0795  1 Mo 1.75
O 0.2770 0.3025 0.5795  1 Mo 1.75
O 0.3233 0.0270 0.7372  1 Mo 1.81
O 0.3233 0.4730 0.2372  1 Mo 1.81
O 0.4490 0.0399 0.2495  1 Mo 1.84
O 0.4490 0.4601 0.7495  1 Mo 1.84
O 0.4995 0.6970 0.6476  1 Mo 1.83
O 0.4995 0.8030 0.1476  1 Mo 1.83
O 0.5005 0.1970 0.8524  1 Mo 1.83
O 0.5005 0.3030 0.3524  1 Mo 1.83
O 0.5510 0.5399 0.2505  1 Mo 1.84
O 0.5510 0.9601 0.7505  1 Mo 1.84
O 0.6767 0.5270 0.7628  1 Mo 1.81
O 0.6767 0.9730 0.2628  1 Mo 1.81
O 0.7230 0.6975 0.4205  1 Mo 1.75
O 0.7230 0.8025 0.9205  1 Mo 1.75
O 0.7242 0.2090 0.1862  1 Mo 1.91
O 0.7242 0.2910 0.6862  1 Mo 1.91
O 0.7708 0.0634 0.7620  1 Mo 1.85
O 0.7708 0.4366 0.2620  1 Mo 1.85
O 0.9226 0.0505 0.1865  1 Mo 1.75
O 0.9226 0.4495 0.6865  1 Mo 1.75
O 0.9414 0.2277 0.8391  1 Mo 1.78
O 0.9414 0.2723 0.3391  1 Mo 1.78

[2]
NaSrBiWO6: optimized geometry, PBE+U.

Results
Space group: F-43m (216)
Spin magnetization: 0.0 μB/f.u.

abc: 6.0152 6.0152 6.0152
angles: 60.00 60.00 60.00
Closest atoms and distances in Å follow each position.
Fractional coordinates of all 10 atoms:
Na 0.0000 0.0000 0.0000  12 O 3.01
Sr 0.5000 0.5000 0.5000  12 O 3.01
Bi 0.7500 0.7500 0.7500  6 O 2.31
W 0.2500 0.2500 0.2500  6 O 1.95
O 0.0212 0.0212 0.4788  1 W 1.95
O 0.0212 0.4788 0.0212  1 W 1.95
O 0.0212 0.4788 0.4788  1 W 1.95
O 0.4788 0.0212 0.0212  1 W 1.95
O 0.4788 0.0212 0.4788  1 W 1.95
O 0.4788 0.4788 0.0212  1 W 1.95

[3]
NaV4Bi13O30: optimized geometry, PBE+U.

Results
Space group: C2 (5)
Spin magnetization: 0.0 μB/f.u.

abc: 11.6662 11.6662 28.2085
angles: 107.99 107.99 60.14
Closest atoms and distances in Å follow each position.
Fractional coordinates of all 192 atoms:
Na 0.0532 0.0532 0.3137  4 O 2.33-2.52
Na 0.4286 0.4581 0.1849  4 O 2.37-2.52
Na 0.5419 0.5714 0.8151  4 O 2.37-2.52
Na 0.9468 0.9468 0.6863  4 O 2.33-2.52
V 0.0557 0.3887 0.3116  4 O 1.72-1.78
V 0.2060 0.5231 0.9446  4 O 1.71-1.78
V 0.2731 0.0075 0.5532  4 O 1.73-1.77
V 0.4078 0.1314 0.1837  4 O 1.72-1.77
V 0.4769 0.7940 0.0554  4 O 1.71-1.78
V 0.5221 0.2869 0.8120  4 O 1.73-1.77
V 0.5842 0.3365 0.5572  4 O 1.73-1.77
V 0.6113 0.9443 0.6884  4 O 1.72-1.78
V 0.6635 0.4158 0.4428  4 O 1.73-1.77
V 0.7131 0.4779 0.1880  4 O 1.73-1.77
V 0.7292 0.0725 0.3095  4 O 1.74-1.75
V 0.8043 0.1164 0.0632  4 O 1.72-1.76
V 0.8686 0.5922 0.8163  4 O 1.72-1.77
V 0.8836 0.1957 0.9368  4 O 1.72-1.76
V 0.9275 0.2708 0.6905  4 O 1.74-1.75
V 0.9925 0.7269 0.4468  4 O 1.73-1.77
Bi 0.0625 0.1118 0.1847  4 O 2.16-2.36
Bi 0.0829 0.7141 0.3139  3 O 2.18-2.33
Bi 0.0995 0.7739 0.1946  3 O 2.26-2.47
Bi 0.1019 0.4582 0.1953  3 O 2.18-2.24
Bi 0.1328 0.7964 0.0640  4 O 2.13-2.34
Bi 0.1528 0.1380 0.0601  3 O 2.14-2.31
Bi 0.1699 0.4756 0.0744  4 O 2.21-2.45
Bi 0.1806 0.6039 0.8088  4 O 2.18-2.42
Bi 0.2036 0.8672 0.9360  4 O 2.13-2.34
Bi 0.2220 0.2407 0.8147  3 O 2.19-2.25
Bi 0.2261 0.9005 0.8054  3 O 2.26-2.47
Bi 0.2399 0.1854 0.9352  3 O 2.12-2.26
Bi 0.2452 0.2936 0.6875  3 O 2.14-2.25
Bi 0.2531 0.3574 0.5652  3 O 2.19-2.22
Bi 0.2553 0.6929 0.5666  3 O 2.16-2.19
Bi 0.2674 0.6172 0.6963  3 O 2.25-2.34
Bi 0.2859 0.9171 0.6861  3 O 2.18-2.33
Bi 0.3071 0.7447 0.4334  3 O 2.16-2.19
Bi 0.3097 0.0711 0.4246  3 O 2.16-2.34
Bi 0.3296 0.3861 0.4310  4 O 2.18-2.42
Bi 0.3696 0.0721 0.3025  3 O 2.15-2.23
Bi 0.3828 0.7326 0.3037  3 O 2.25-2.34
Bi 0.3961 0.8194 0.1912  4 O 2.18-2.42
Bi 0.4007 0.4041 0.3077  4 O 2.15-2.37
Bi 0.4755 0.4641 0.0607  3 O 2.13-2.29
Bi 0.4843 0.1283 0.0592  3 O 2.12-2.23
Bi 0.5244 0.8301 0.9256  4 O 2.21-2.45
Bi 0.5359 0.5245 0.9393  3 O 2.13-2.29
Bi 0.5418 0.8981 0.8047  3 O 2.18-2.24
Bi 0.5478 0.1699 0.9324  3 O 2.17-2.24
Bi 0.5913 0.2874 0.6910  4 O 2.17-2.40
Bi 0.5959 0.5993 0.6923  4 O 2.15-2.37
Bi 0.6139 0.6704 0.5690  4 O 2.18-2.42
Bi 0.6187 0.0101 0.5613  3 O 2.20-2.22
Bi 0.6426 0.7469 0.4348  3 O 2.19-2.22
Bi 0.6515 0.0458 0.4291  3 O 2.16-2.28
Bi 0.7064 0.7548 0.3125  3 O 2.14-2.25
Bi 0.7126 0.4087 0.3090  4 O 2.17-2.40
Bi 0.7593 0.7780 0.1853  3 O 2.19-2.25
Bi 0.7603 0.0954 0.1928  3 O 2.17-2.22
Bi 0.8146 0.7601 0.0648  3 O 2.12-2.26
Bi 0.8301 0.4522 0.0676  3 O 2.17-2.24
Bi 0.8620 0.8472 0.9399  3 O 2.14-2.31
Bi 0.8717 0.5157 0.9408  3 O 2.12-2.23
Bi 0.8882 0.9375 0.8153  4 O 2.16-2.36
Bi 0.9046 0.2397 0.8072  3 O 2.17-2.22
Bi 0.9279 0.6304 0.6975  3 O 2.15-2.23
Bi 0.9289 0.6903 0.5754  3 O 2.16-2.34
Bi 0.9491 0.0116 0.5697  4 O 2.14-2.34
Bi 0.9542 0.3485 0.5709  3 O 2.16-2.28
Bi 0.9884 0.0509 0.4303  4 O 2.14-2.34
Bi 0.9899 0.3813 0.4387  3 O 2.20-2.22
O 0.0001 0.5032 0.7840  1 V 1.72
O 0.0211 0.7147 0.0879  2 Bi 2.12-2.29
O 0.0253 0.8169 0.5082  1 V 1.77
O 0.0440 0.1695 0.9727  1 V 1.75
O 0.0473 0.3477 0.0895  2 Bi 2.14-2.17
O 0.0497 0.3874 0.5219  3 Bi 2.21-2.28
O 0.0514 0.2042 0.7413  1 V 1.74
O 0.0774 0.1585 0.4172  3 Bi 2.15-2.34
O 0.0818 0.5586 0.9767  1 V 1.75
O 0.0855 0.2730 0.2545  1 V 1.75
O 0.1090 0.1915 0.8477  2 Bi 2.17-2.19
O 0.1132 0.8312 0.8575  2 Bi 2.15-2.36
O 0.1219 0.8706 0.6111  2 Bi 2.14-2.16
O 0.1294 0.8781 0.3889  2 Bi 2.14-2.16
O 0.1326 0.3797 0.6165  3 Bi 2.19-2.25
O 0.1496 0.5135 0.7209  3 Bi 2.23-2.37
O 0.1517 0.6197 0.4313  1 V 1.75
O 0.1517 0.8085 0.2802  3 Bi 2.18-2.32
O 0.1601 0.1048 0.5939  1 V 1.73
O 0.1688 0.8868 0.1425  2 Bi 2.15-2.36
O 0.1751 0.4416 0.8838  1 V 1.71
O 0.1762 0.5796 0.5843  2 Bi 2.18-2.22
O 0.1831 0.9747 0.4918  1 V 1.77
O 0.1915 0.8483 0.7198  3 Bi 2.18-2.32
O 0.1955 0.5187 0.1580  2 Bi 2.18-2.21, 1 Na 2.37
O 0.2054 0.3255 0.4520  2 Bi 2.18-2.20
O 0.2046 0.6734 0.9443  1 V 1.75
O 0.2071 0.5264 0.2678  3 Bi 2.15-2.20
O 0.2202 0.3612 0.3468  1 V 1.78
O 0.2534 0.0048 0.2313  3 Bi 2.16-2.21
O 0.2640 0.1192 0.1427  1 V 1.76
O 0.2717 0.2111 0.0438  2 Bi 2.12-2.16
O 0.2735 0.0253 0.3428  2 Bi 2.15-2.16, 1 Na 2.33
O 0.2770 0.6046 0.0821  3 Bi 2.13-2.32
O 0.2853 0.9789 0.9121  2 Bi 2.12-2.29
O 0.2923 0.6670 0.7813  3 Bi 2.18-2.36
O 0.3054 0.6235 0.3565  3 Bi 2.19-2.37
O 0.3196 0.0193 0.7814  3 Bi 2.24-2.47
O 0.3266 0.7954 0.0557  1 V 1.75
O 0.3330 0.7077 0.2187  3 Bi 2.18-2.36
O 0.3439 0.2832 0.2276  1 V 1.77
O 0.3596 0.0919 0.5503  1 V 1.76
O 0.3636 0.3147 0.7740  1 V 1.75
O 0.3665 0.1587 0.8833  3 Bi 2.18-2.24
O 0.3667 0.4153 0.9752  1 V 1.78
O 0.3765 0.6946 0.6435  3 Bi 2.19-2.37
O 0.3782 0.3418 0.6688  2 Bi 2.14-2.17
O 0.3803 0.8483 0.5687  1 V 1.75
O 0.3954 0.7230 0.9179  3 Bi 2.13-2.32
O 0.4150 0.3488 0.0840  2 Bi 2.13-2.22
O 0.4204 0.8238 0.4157  2 Bi 2.18-2.22
O 0.4240 0.4214 0.5207  1 V 1.77
O 0.4356 0.1579 0.4110  3 Bi 2.16-2.32
O 0.4414 0.9182 0.0233  1 V 1.75
O 0.4491 0.0365 0.6992  1 V 1.72
O 0.4557 0.1175 0.9764  3 Bi 2.23-2.26
O 0.4736 0.7929 0.7322  3 Bi 2.15-2.20
O 0.4813 0.8045 0.8420  2 Bi 2.18-2.21, 1 Na 2.37
O 0.4846 0.4975 0.2805  3 Bi 2.18-2.34
O 0.4865 0.8504 0.2791  3 Bi 2.23-2.37
O 0.4919 0.4403 0.8544  1 V 1.75
O 0.4968 0.9999 0.2160  1 V 1.72
O 0.5025 0.5154 0.7195  3 Bi 2.18-2.34
O 0.5088 0.1443 0.1527  1 V 1.75
O 0.5484 0.3296 0.6118  1 V 1.75
O 0.5584 0.8249 0.1162  1 V 1.71
O 0.5597 0.5081 0.1456  1 V 1.75
O 0.5753 0.1603 0.8445  1 V 1.73
O 0.5774 0.3199 0.4262  1 V 1.73
O 0.5786 0.5760 0.4793  1 V 1.77
O 0.5847 0.6333 0.0248  1 V 1.78
O 0.6126 0.9503 0.4781  3 Bi 2.21-2.28
O 0.6203 0.8674 0.3835  3 Bi 2.19-2.25
O 0.6327 0.2222 0.2866  1 V 1.74
O 0.6380 0.0356 0.3368  1 V 1.75
O 0.6385 0.2577 0.7765  1 V 1.77
O 0.6388 0.7798 0.6532  1 V 1.78
O 0.6427 0.0327 0.6577  1 V 1.75
O 0.6512 0.5850 0.9160  2 Bi 2.13-2.22
O 0.6523 0.9527 0.9105  2 Bi 2.14-2.17
O 0.6564 0.2363 0.0337  1 V 1.75
O 0.6582 0.6218 0.3312  2 Bi 2.14-2.17
O 0.6704 0.4516 0.3882  1 V 1.75
O 0.6711 0.1687 0.5277  1 V 1.76
O 0.6745 0.7946 0.5480  2 Bi 2.18-2.20
O 0.6801 0.4226 0.5738  1 V 1.73
O 0.6853 0.6364 0.2260  1 V 1.75
O 0.7168 0.6561 0.7724  1 V 1.77
O 0.7270 0.9145 0.7455  1 V 1.75
O 0.7423 0.3615 0.2235  1 V 1.77
O 0.7637 0.3436 0.9663  1 V 1.75
O 0.7778 0.3673 0.7134  1 V 1.74
O 0.7865 0.1262 0.1242  1 V 1.76
O 0.7889 0.7283 0.9562  2 Bi 2.12-2.16
O 0.7958 0.9486 0.2587  1 V 1.74
O 0.8085 0.8910 0.1523  2 Bi 2.17-2.19
O 0.8305 0.9560 0.0273  1 V 1.75
O 0.8313 0.3289 0.4723  1 V 1.76
O 0.8397 0.4247 0.1555  1 V 1.73
O 0.8413 0.6335 0.1167  3 Bi 2.18-2.24
O 0.8415 0.9226 0.5828  3 Bi 2.15-2.34
O 0.8421 0.5644 0.5890  3 Bi 2.16-2.32
O 0.8557 0.4912 0.8473  1 V 1.75
O 0.8608 0.0559 0.9301  1 V 1.72
O 0.8667 0.0902 0.3526  1 V 1.75
O 0.8738 0.2135 0.8758  1 V 1.76
O 0.8808 0.7360 0.8573  1 V 1.76
O 0.8825 0.5443 0.0236  3 Bi 2.23-2.26
O 0.8952 0.8399 0.4061  1 V 1.73
O 0.9081 0.6404 0.4497  1 V 1.76
O 0.9098 0.1333 0.6474  1 V 1.75
O 0.9441 0.1392 0.0699  1 V 1.72
O 0.9644 0.3620 0.6632  1 V 1.75
O 0.9635 0.5509 0.3008  1 V 1.72
O 0.9673 0.3573 0.3423  1 V 1.75
O 0.9687 0.0202 0.7811  2 Bi 2.19-2.22
O 0.9747 0.7265 0.6572  2 Bi 2.15-2.16, 1 Na 2.33
O 0.9798 0.0313 0.2189  2 Bi 2.19-2.22
O 0.9807 0.6804 0.2186  3 Bi 2.24-2.47
O 0.9952 0.7466 0.7687  3 Bi 2.16-2.21

[4]
NaBiW2O8: optimized geometry, PBE+U.

Results
Space group: I-4 (82)
Spin magnetization: 0.0 μB/f.u.

abc: 6.9304 6.9304 6.9304
angles: 134.48 134.48 66.34
Closest atoms and distances in Å follow each position.
Fractional coordinates of all 12 atoms:
Na 0.0000 0.0000 0.0000  8 O 2.51-2.56
Bi 0.7500 0.2500 0.5000  8 O 2.47-2.49
W 0.2500 0.7500 0.5000  4 O 1.83
W 0.5000 0.5000 0.0000  4 O 1.83
O 0.0084 0.4230 0.0996  1 W 1.83
O 0.0911 0.9916 0.4145  1 W 1.83
O 0.1710 0.5600 0.9074  1 W 1.83
O 0.3234 0.9089 0.9004  1 W 1.83
O 0.4400 0.3473 0.6110  1 W 1.83
O 0.5770 0.6766 0.5855  1 W 1.83
O 0.6527 0.2637 0.0926  1 W 1.83
O 0.7363 0.8290 0.3890  1 W 1.83

Formation energy from the elements for every record listed, in sequence, given in eV/atom: -1.8480 -2.2384 -1.9276 -2.0797.
Total energy for every record listed, in sequence, given in eV per cell: -311.2 -63.4 -1207.1 -81.3.